# LiAlSiO4 GGA-PBE optimized geometry
data_LiAlSiO4
_symmetry_space_group_name_H-M 'P 1'
_symmetry_Int_Tables_number 1
_cell_length_a 5.1449
_cell_length_b 8.1849
_cell_length_c 8.2972
_cell_angle_alpha 73.86
_cell_angle_beta 90.00
_cell_angle_gamma 90.00
loop_
_symmetry_equiv_pos_as_xyz
'x,y,z'
loop_
_atom_site_label
_atom_site_type_symbol
_atom_site_fract_x
_atom_site_fract_y
_atom_site_fract_z
Li1 Li 0.3303 0.5023 0.7233
Li2 Li 0.1559 0.9729 0.4182
Li3 Li 0.8441 0.9729 0.9182
Li4 Li 0.6697 0.5023 0.2233
Al1 Al 0.1789 0.3670 0.1261
Al2 Al 0.6699 0.8669 0.2833
Al3 Al 0.3301 0.8669 0.7833
Al4 Al 0.8211 0.3670 0.6261
Si1 Si 0.8278 0.7406 0.6625
Si2 Si 0.6747 0.2463 0.9996
Si3 Si 0.1722 0.7406 0.1625
Si4 Si 0.3253 0.2463 0.4996
O1 O 0.3782 0.3228 0.9710
O2 O 0.8619 0.7157 0.2156
O3 O 0.7105 0.0544 0.1236
O4 O 0.8482 0.3806 0.0713
O5 O 0.7019 0.5586 0.6581
O6 O 0.2212 0.2176 0.3222
O7 O 0.3349 0.8161 0.2975
O8 O 0.6218 0.3228 0.4710
O9 O 0.6651 0.8161 0.7975
O10 O 0.8074 0.8770 0.4746
O11 O 0.2895 0.0544 0.6236
O12 O 0.1926 0.8770 0.9746
O13 O 0.2981 0.5586 0.1581
O14 O 0.1518 0.3806 0.5713
O15 O 0.1381 0.7157 0.7156
O16 O 0.7788 0.2176 0.8222
# energy relative to the elements = -2153 kJ/mol of formula units
# spin magnetization = 0.00 μB per formula unit
# largest piezoelectric modulus = 0.31 C/m²
# space group = Pc (7)
# energy relative to the lowest polymorph listed for this composition = 22 meV/atom